VASP calculation (PBE) on an optimized crystal structure of Ga2Te2Br7.

ΔE_f: -1010 meV/atom
calculated total energy: -2.834 eV/atom

abc: 10.473 11.739 14.376
angles: 90.00 98.87 90.00
Sites, in units of the cell vectors:
Ga1 0.094 0.183 0.181
Ga2 0.094 0.317 0.681
Ga3 0.284 0.608 0.336
Ga4 0.284 0.892 0.836
Ga5 0.716 0.108 0.164
Ga6 0.716 0.392 0.664
Ga7 0.906 0.683 0.319
Ga8 0.906 0.817 0.819
Te1 0.351 0.057 0.548
Te2 0.351 0.443 0.048
Te3 0.420 0.036 0.373
Te4 0.420 0.464 0.873
Te5 0.580 0.536 0.127
Te6 0.580 0.964 0.627
Te7 0.649 0.557 0.952
Te8 0.649 0.943 0.452
Br1 0.014 0.146 0.616
Br2 0.014 0.354 0.116
Br3 0.070 0.532 0.367
Br4 0.070 0.968 0.867
Br5 0.133 0.177 0.348
Br6 0.133 0.323 0.848
Br7 0.255 0.742 0.216
Br8 0.255 0.758 0.716
Br9 0.276 0.119 0.120
Br10 0.276 0.381 0.620
Br11 0.381 0.060 0.785
Br12 0.381 0.440 0.285
Br13 0.387 0.670 0.481
Br14 0.387 0.830 0.981
Br15 0.613 0.170 0.019
Br16 0.613 0.330 0.519
Br17 0.619 0.560 0.715
Br18 0.619 0.940 0.215
Br19 0.724 0.619 0.380
Br20 0.724 0.881 0.880
Br21 0.745 0.242 0.284
Br22 0.745 0.258 0.784
Br23 0.867 0.677 0.152
Br24 0.867 0.823 0.652
Br25 0.930 0.032 0.133
Br26 0.930 0.468 0.633
Br27 0.986 0.646 0.884
Br28 0.986 0.854 0.384